[1]
Compound: Li5Mn2CoNi2O10
Source: Materials Project
Functional: GGA+U
Structure: optimized geometry

Lattice parameters (Å, degrees): 5.066 5.889 6.608 103.24 97.78 106.26
Space group P1 (No. 1)
Unique sites:
Li: 0.000 0.000 0.000 (multiplicity 1)
Li: 0.192 0.403 0.396 (multiplicity 1)
Li: 0.392 0.803 0.804 (multiplicity 1)
Li: 0.593 0.203 0.201 (multiplicity 1)
Li: 0.797 0.601 0.597 (multiplicity 1)
Mn: 0.594 0.701 0.199 (multiplicity 1)
Mn: 0.794 0.100 0.598 (multiplicity 1)
Co: 0.396 0.304 0.803 (multiplicity 1)
Ni: 0.195 0.901 0.399 (multiplicity 1)
Ni: 0.995 0.503 0.000 (multiplicity 1)
O: 0.080 0.969 0.697 (multiplicity 1)
O: 0.089 0.421 0.693 (multiplicity 1)
O: 0.310 0.840 0.107 (multiplicity 1)
O: 0.317 0.375 0.105 (multiplicity 1)
O: 0.513 0.243 0.515 (multiplicity 1)
O: 0.518 0.770 0.489 (multiplicity 1)
O: 0.682 0.651 0.920 (multiplicity 1)
O: 0.687 0.153 0.872 (multiplicity 1)
O: 0.873 0.036 0.310 (multiplicity 1)
O: 0.879 0.564 0.290 (multiplicity 1)

Calculated values
As for the electronic total energy: -5.819 eV per atom. The calculation puts the energy relative to the elements at -1864 meV per atom.


[2]
Compound: Li10Mn3Co2Ni3O16
Source: Materials Project
Functional: GGA+U
Structure: optimized geometry

Lattice parameters (Å, degrees): 5.943 5.952 9.776 90.81 91.04 119.65
Space group P1 (No. 1)
Unique sites:
Li: 0.000 0.000 0.000 (multiplicity 1)
Li: 0.004 0.562 0.999 (multiplicity 1)
Li: 0.241 0.396 0.932 (multiplicity 1)
Li: 0.254 0.413 0.438 (multiplicity 1)
Li: 0.389 0.178 0.524 (multiplicity 1)
Li: 0.414 0.797 0.511 (multiplicity 1)
Li: 0.578 0.061 0.735 (multiplicity 1)
Li: 0.618 0.584 0.007 (multiplicity 1)
Li: 0.855 0.192 0.521 (multiplicity 1)
Li: 0.914 0.744 0.233 (multiplicity 1)
Mn: 0.411 0.232 0.238 (multiplicity 1)
Mn: 0.411 0.740 0.236 (multiplicity 1)
Mn: 0.571 0.557 0.737 (multiplicity 1)
Co: 0.571 0.062 0.979 (multiplicity 1)
Co: 0.904 0.721 0.487 (multiplicity 1)
Ni: 0.063 0.051 0.742 (multiplicity 1)
Ni: 0.064 0.557 0.740 (multiplicity 1)
Ni: 0.908 0.235 0.240 (multiplicity 1)
O: 0.105 0.588 0.354 (multiplicity 1)
O: 0.108 0.088 0.354 (multiplicity 1)
O: 0.202 0.870 0.617 (multiplicity 1)
O: 0.246 0.389 0.627 (multiplicity 1)
O: 0.252 0.907 0.121 (multiplicity 1)
O: 0.259 0.407 0.130 (multiplicity 1)
O: 0.418 0.718 0.854 (multiplicity 1)
O: 0.422 0.251 0.855 (multiplicity 1)
O: 0.562 0.061 0.350 (multiplicity 1)
O: 0.572 0.567 0.348 (multiplicity 1)
O: 0.713 0.376 0.125 (multiplicity 1)
O: 0.713 0.892 0.124 (multiplicity 1)
O: 0.720 0.860 0.616 (multiplicity 1)
O: 0.722 0.396 0.617 (multiplicity 1)
O: 0.882 0.716 0.857 (multiplicity 1)
O: 0.909 0.228 0.872 (multiplicity 1)

Calculated values
As for the electronic total energy: -5.635 eV per atom. The calculation puts the energy relative to the elements at -1799 meV per atom.


[3]
Compound: Li7Mn2Co3O12
Source: Materials Project
Functional: GGA+U
Structure: optimized geometry

Lattice parameters (Å, degrees): 3.018 8.011 9.804 66.42 86.60 89.40
Space group P-1 (No. 2)
Unique sites:
Li: 0.000 0.000 0.000 (multiplicity 1)
Li: 0.000 0.323 0.339 (multiplicity 2)
Li: 0.497 0.837 0.831 (multiplicity 2)
Li: 0.500 0.000 0.500 (multiplicity 1)
Li: 0.500 0.500 0.500 (multiplicity 1)
Mn: 0.499 0.667 0.170 (multiplicity 2)
Co: 0.000 0.500 0.000 (multiplicity 1)
Co: 0.005 0.839 0.343 (multiplicity 2)
O: 0.004 0.940 0.669 (multiplicity 2)
O: 0.021 0.606 0.329 (multiplicity 2)
O: 0.031 0.264 0.994 (multiplicity 2)
O: 0.475 0.243 0.513 (multiplicity 2)
O: 0.477 0.904 0.176 (multiplicity 2)
O: 0.485 0.428 0.164 (multiplicity 2)

Calculated values
As for the electronic total energy: -5.824 eV per atom. The calculation puts the energy relative to the elements at -1828 meV per atom.


Number 1: energy with MP2020 corrections -133.31 eV for the cell shown, spin magnetization 14.00 μB per formula unit. Number 2: energy with MP2020 corrections -218.47 eV for the cell shown, spin magnetization 21.00 μB per formula unit. Number 3: energy with MP2020 corrections -156.26 eV for the cell shown, spin magnetization 16.00 μB per formula unit.